KEuYWO6, relaxed, DFT PBE+U; total energy after the MP2020 corrections = -89.61 eV for the cell shown; VASP energy = -8.105 eV per atom; crystal system = cubic
1.0
0.000 -4.190 -4.190
4.190 0.000 -4.190
4.190 -4.190 0.000
K Eu Y W O
1 1 1 1 6
Direct
0.750 0.750 0.750 K
0.250 0.250 0.250 Eu
0.500 0.500 0.500 Y
0.000 0.000 0.000 W
0.767 0.233 0.233 O
0.233 0.767 0.767 O
0.767 0.233 0.767 O
0.233 0.767 0.233 O
0.767 0.767 0.233 O
0.233 0.233 0.767 O